DFT (r2SCAN) results for a relaxed La2AlGe crystal.

a b c (Å): 4.1992 6.2457 6.2457
angles (deg): 43.38 90.00 90.00
Fractional coordinates of all 4 atoms:
La 0.0000 0.0000 0.0000
La 0.5000 0.2851 0.2851
Al 0.5000 0.5780 0.5780
Ge 0.0000 0.7131 0.7131

Computed properties:
For the formation energy, the calculation gives -0.7557 eV/atom. The total magnetization comes out at 0.251 μB per atom.

DFT (r2SCAN) results for a relaxed EuAl crystal.

a b c (Å): 6.5807 6.5807 4.6260
angles (deg): 90.00 90.00 146.23
Fractional coordinates of all 4 atoms:
Eu 0.1584 0.8416 0.7500
Eu 0.8416 0.1584 0.2500
Al 0.4427 0.5573 0.7500
Al 0.5573 0.4427 0.2500

Computed properties:
For the formation energy, the calculation gives -0.2804 eV/atom. The total magnetization comes out at 3.659 μB per atom.

DFT (r2SCAN) results for a relaxed Zr3AgHg3F20 crystal.

a b c (Å): 10.6962 10.6962 8.5507
angles (deg): 90.00 90.00 120.00
Fractional coordinates of all 54 atoms:
Zr 0.1390 0.4162 0.2500
Zr 0.2773 0.8610 0.2500
Zr 0.4162 0.2773 0.7500
Zr 0.5838 0.7227 0.2500
Zr 0.7227 0.1390 0.7500
Zr 0.8610 0.5838 0.7500
Ag 0.0000 0.0000 0.2500
Ag 0.0000 0.0000 0.7500
Hg 0.1618 0.4312 0.7500
Hg 0.2693 0.8382 0.7500
Hg 0.4312 0.2693 0.2500
Hg 0.5688 0.7307 0.7500
Hg 0.7307 0.1618 0.2500
Hg 0.8382 0.5688 0.2500
F 0.0000 0.0000 0.0000
F 0.0000 0.0000 0.5000
F 0.0306 0.8005 0.7500
F 0.0566 0.5878 0.7500
F 0.0568 0.7769 0.2500
F 0.1453 0.4257 0.0169
F 0.1453 0.4257 0.4831
F 0.1842 0.6338 0.2500
F 0.1995 0.2301 0.7500
F 0.2231 0.2799 0.2500
F 0.2301 0.0306 0.2500
F 0.2799 0.0568 0.7500
F 0.2804 0.8547 0.0169
F 0.2804 0.8547 0.4831
F 0.3333 0.6667 0.7500
F 0.3662 0.5503 0.2500
F 0.4122 0.4688 0.7500
F 0.4257 0.2804 0.5169
F 0.4257 0.2804 0.9831
F 0.4497 0.8158 0.2500
F 0.4688 0.0566 0.2500
F 0.5312 0.9434 0.7500
F 0.5503 0.1842 0.7500
F 0.5743 0.7196 0.0169
F 0.5743 0.7196 0.4831
F 0.5878 0.5312 0.2500
F 0.6338 0.4497 0.7500
F 0.6667 0.3333 0.2500
F 0.7196 0.1453 0.5169
F 0.7196 0.1453 0.9831
F 0.7201 0.9432 0.2500
F 0.7699 0.9694 0.7500
F 0.7769 0.7201 0.7500
F 0.8005 0.7699 0.2500
F 0.8158 0.3662 0.7500
F 0.8547 0.5743 0.5169
F 0.8547 0.5743 0.9831
F 0.9432 0.2231 0.7500
F 0.9434 0.4122 0.2500
F 0.9694 0.1995 0.2500

Computed properties:
For the formation energy, the calculation gives -2.8831 eV/atom. The total magnetization comes out at 0.009 μB per atom.

DFT (r2SCAN) results for a relaxed TiFeSi2 crystal.

a b c (Å): 8.5665 9.3657 7.6333
angles (deg): 90.00 90.00 90.00
Fractional coordinates of all 48 atoms:
Ti 0.1696 0.0449 0.2382
Ti 0.1696 0.0449 0.7618
Ti 0.1695 0.3201 0.0000
Ti 0.3304 0.5449 0.2382
Ti 0.3304 0.5449 0.7618
Ti 0.3305 0.8201 0.0000
Ti 0.6695 0.1799 0.0000
Ti 0.6696 0.4551 0.2382
Ti 0.6696 0.4551 0.7618
Ti 0.8305 0.6799 0.0000
Ti 0.8304 0.9551 0.2382
Ti 0.8304 0.9551 0.7618
Fe 0.0000 0.5000 0.2455
Fe 0.0000 0.5000 0.7545
Fe 0.0874 0.7496 0.2493
Fe 0.0874 0.7496 0.7507
Fe 0.4126 0.2496 0.2493
Fe 0.4126 0.2496 0.7507
Fe 0.5000 0.0000 0.2455
Fe 0.5000 0.0000 0.7545
Fe 0.5874 0.7504 0.2493
Fe 0.5874 0.7504 0.7507
Fe 0.9126 0.2504 0.2493
Fe 0.9126 0.2504 0.7507
Si 0.0378 0.8755 0.5000
Si 0.0379 0.8782 0.0000
Si 0.1267 0.5946 0.5000
Si 0.1269 0.6024 0.0000
Si 0.1662 0.3169 0.3469
Si 0.1662 0.3169 0.6531
Si 0.3338 0.8169 0.3469
Si 0.3338 0.8169 0.6531
Si 0.3733 0.0946 0.5000
Si 0.3731 0.1024 0.0000
Si 0.4622 0.3755 0.5000
Si 0.4621 0.3782 0.0000
Si 0.5379 0.6218 0.0000
Si 0.5379 0.6245 0.5000
Si 0.6269 0.8976 0.0000
Si 0.6267 0.9054 0.5000
Si 0.6662 0.1831 0.3469
Si 0.6662 0.1831 0.6531
Si 0.8338 0.6831 0.3469
Si 0.8338 0.6831 0.6531
Si 0.8731 0.3976 0.0000
Si 0.8733 0.4054 0.5000
Si 0.9621 0.1218 0.0000
Si 0.9622 0.1245 0.5000

Computed properties:
For the formation energy, the calculation gives -0.5525 eV/atom. The total magnetization comes out at 0.303 μB per atom.

DFT (r2SCAN) results for a relaxed Tb4Ga12Pd crystal.

a b c (Å): 7.4299 7.4299 7.4299
angles (deg): 109.47 109.47 109.47
Fractional coordinates of all 17 atoms:
Tb 0.0000 0.0000 0.5000
Tb 0.0000 0.5000 0.0000
Tb 0.5000 0.0000 0.0000
Tb 0.5000 0.5000 0.5000
Ga 0.0000 0.2973 0.2973
Ga 0.0000 0.7027 0.7027
Ga 0.2500 0.5000 0.7500
Ga 0.2500 0.7500 0.5000
Ga 0.2973 0.0000 0.2973
Ga 0.2973 0.2973 0.0000
Ga 0.5000 0.2500 0.7500
Ga 0.5000 0.7500 0.2500
Ga 0.7027 0.0000 0.7027
Ga 0.7027 0.7027 0.0000
Ga 0.7500 0.2500 0.5000
Ga 0.7500 0.5000 0.2500
Pd 0.0000 0.0000 0.0000

Computed properties:
For the formation energy, the calculation gives -0.6635 eV/atom. The total magnetization comes out at 0.000 μB per atom.

DFT (r2SCAN) results for a relaxed Li5Mn7O16 crystal.

a b c (Å): 8.0837 11.4922 5.7053
angles (deg): 90.00 90.00 90.00
Fractional coordinates of all 56 atoms:
Li 0.0000 0.0000 0.0000
Li 0.1157 0.1233 0.5000
Li 0.1285 0.6242 0.5000
Li 0.3715 0.1242 0.0000
Li 0.3843 0.6233 0.0000
Li 0.5000 0.5000 0.5000
Li 0.6157 0.3767 0.0000
Li 0.6285 0.8758 0.0000
Li 0.8715 0.3758 0.5000
Li 0.8843 0.8767 0.5000
Mn 0.0000 0.5000 0.0000
Mn 0.0064 0.7518 0.0000
Mn 0.2473 0.3747 0.2536
Mn 0.2473 0.3747 0.7464
Mn 0.2527 0.8747 0.2464
Mn 0.2527 0.8747 0.7536
Mn 0.4936 0.2518 0.5000
Mn 0.5000 0.0000 0.5000
Mn 0.5064 0.7482 0.5000
Mn 0.7473 0.1253 0.2464
Mn 0.7473 0.1253 0.7536
Mn 0.7527 0.6253 0.2536
Mn 0.7527 0.6253 0.7464
Mn 0.9936 0.2482 0.0000
O 0.0078 0.3755 0.2219
O 0.0078 0.3755 0.7781
O 0.0241 0.8638 0.2324
O 0.0241 0.8638 0.7676
O 0.2277 0.2608 0.0000
O 0.2401 0.4839 0.0000
O 0.2444 0.7608 0.0000
O 0.2461 0.4796 0.5000
O 0.2539 0.9796 0.0000
O 0.2556 0.2608 0.5000
O 0.2599 0.9839 0.5000
O 0.2723 0.7608 0.5000
O 0.4759 0.3638 0.2676
O 0.4759 0.3638 0.7324
O 0.4922 0.8755 0.2781
O 0.4922 0.8755 0.7219
O 0.5078 0.1245 0.2781
O 0.5078 0.1245 0.7219
O 0.5241 0.6362 0.2676
O 0.5241 0.6362 0.7324
O 0.7277 0.2392 0.5000
O 0.7401 0.0161 0.5000
O 0.7444 0.7392 0.5000
O 0.7461 0.0204 0.0000
O 0.7539 0.5204 0.5000
O 0.7556 0.2392 0.0000
O 0.7599 0.5161 0.0000
O 0.7723 0.7392 0.0000
O 0.9759 0.1362 0.2324
O 0.9759 0.1362 0.7676
O 0.9922 0.6245 0.2219
O 0.9922 0.6245 0.7781

Computed properties:
For the formation energy, the calculation gives -2.2126 eV/atom. The total magnetization comes out at 0.714 μB per atom.